LiFe6Ge5 | PBE | optimized geometry

## Properties
- ΔE_f: -0.18 eV per atom
- Space group: C2/m (12)
- ρ: 7.49 g cm⁻³

a b c (Å): 4.9983 4.9983 14.7249
angles (deg): 80.24 80.24 60.11
Sites, in units of the cell vectors:
1 Fe 0.4532 0.4532 0.1383
2 Fe 0.9538 0.4535 0.1382
3 Fe 0.1441 0.6344 0.5829
4 Fe 0.5468 0.5468 0.8617
5 Fe 0.3653 0.3653 0.4180
6 Fe 0.5465 0.0462 0.8618
7 Fe 0.0462 0.5465 0.8618
8 Fe 0.6347 0.6347 0.5820
9 Fe 0.3656 0.8559 0.4171
10 Fe 0.4535 0.9538 0.1382
11 Fe 0.8559 0.3656 0.4171
12 Fe 0.6344 0.1441 0.5829
13 Li 0.9087 0.9087 0.2630
14 Li 0.0913 0.0913 0.7370
15 Ge 0.1464 0.1464 0.5574
16 Ge 0.9712 0.9712 0.0881
17 Ge 0.0288 0.0288 0.9119
18 Ge 0.4255 0.4255 0.7240
19 Ge 0.5745 0.5745 0.2760
20 Ge 0.8536 0.8536 0.4426
21 Ge 0.3335 0.3335 0.9999
22 Ge 0.2410 0.2410 0.2772
23 Ge 0.7590 0.7590 0.7228
24 Ge 0.6665 0.6665 0.0001